*one*
HfMg6V | PBE | optimized geometry

Total magnetic moment (μB/cell): 5.43

Unit cell a=4.941 b=6.271 c=11.043 alpha=90.00 beta=90.00 gamma=90.00
Atoms (fractional coordinates):
Mg  0.500  0.000  0.164
Mg  0.000  0.254  0.081
Mg  0.000  0.000  0.333
Mg  0.500  0.258  0.420
Mg  0.000  0.754  0.581
Mg  0.000  0.246  0.581
Mg  0.000  0.500  0.833
Mg  0.500  0.742  0.420
Mg  0.500  0.500  0.664
Mg  0.000  0.746  0.081
Mg  0.500  0.758  0.920
Mg  0.500  0.242  0.920
Hf  0.500  0.500  0.181
Hf  0.500  0.000  0.681
V  0.000  0.000  0.818
V  0.000  0.500  0.318


*two*
HfMg6V | PBE | optimized geometry

Total magnetic moment (μB/cell): 6.56

Unit cell a=5.052 b=6.154 c=10.991 alpha=90.00 beta=90.00 gamma=90.00
Atoms (fractional coordinates):
V  0.500  0.500  0.666
V  0.500  0.000  0.166
Mg  0.000  0.245  0.088
Mg  0.000  0.500  0.329
Mg  0.000  0.755  0.088
Mg  0.500  0.753  0.918
Mg  0.000  0.000  0.326
Mg  0.500  0.253  0.418
Mg  0.000  0.255  0.588
Mg  0.000  0.500  0.826
Mg  0.000  0.000  0.829
Mg  0.500  0.747  0.418
Mg  0.000  0.745  0.588
Mg  0.500  0.247  0.918
Hf  0.500  0.500  0.167
Hf  0.500  0.000  0.667


Most favorable structure: *one*. The second most favorable one is 3.3 kJ/mol of atoms above it.


*one*
HfMg6W | PBE | optimized geometry

Total magnetic moment (μB/cell): 0.00

Unit cell a=5.055 b=5.768 c=11.236 alpha=90.00 beta=90.00 gamma=90.00
Atoms (fractional coordinates):
Mg  0.500  0.250  0.424
Mg  0.000  0.742  0.585
Mg  0.000  0.758  0.085
Mg  0.000  0.500  0.812
Mg  0.000  0.500  0.325
Mg  0.500  0.750  0.924
Mg  0.000  0.000  0.825
Mg  0.000  0.242  0.085
Mg  0.000  0.000  0.312
Mg  0.000  0.258  0.585
Mg  0.500  0.250  0.924
Mg  0.500  0.750  0.424
Hf  0.500  0.000  0.673
Hf  0.500  0.500  0.173
W  0.500  0.000  0.172
W  0.500  0.500  0.672


*two*
HfMg6W | PBE | optimized geometry

Total magnetic moment (μB/cell): 0.00

Unit cell a=4.917 b=6.093 c=11.128 alpha=90.00 beta=90.00 gamma=90.00
Atoms (fractional coordinates):
Mg  0.000  0.253  0.074
Mg  0.500  0.257  0.427
Mg  0.500  0.243  0.927
Mg  0.000  0.753  0.574
Mg  0.500  0.000  0.170
Mg  0.500  0.743  0.427
Mg  0.500  0.757  0.927
Mg  0.000  0.500  0.826
Mg  0.000  0.747  0.074
Mg  0.000  0.000  0.326
Mg  0.500  0.500  0.670
Mg  0.000  0.247  0.574
W  0.000  0.500  0.303
W  0.000  0.000  0.803
Hf  0.500  0.500  0.198
Hf  0.500  0.000  0.698


Most favorable structure: *two*. The second most favorable one is 6.6 kJ/mol of atoms above it.


*one*
YHfMg6 | PBE | optimized geometry

Total magnetic moment (μB/cell): 0.00

Unit cell a=6.261 b=6.261 c=4.890 alpha=90.00 beta=90.00 gamma=102.85
Atoms (fractional coordinates):
Y  0.000  0.000  0.000
Hf  0.500  0.500  0.000
Mg  0.000  0.500  0.000
Mg  0.255  0.745  0.500
Mg  0.260  0.260  0.500
Mg  0.500  0.000  0.000
Mg  0.740  0.740  0.500
Mg  0.745  0.255  0.500


*two*
YHfMg6 | PBE | optimized geometry

Total magnetic moment (μB/cell): 0.01

Unit cell a=5.187 b=6.527 c=11.336 alpha=90.00 beta=90.00 gamma=90.00
Atoms (fractional coordinates):
Y  0.000  0.500  0.332
Y  0.000  0.000  0.832
Mg  0.500  0.000  0.165
Mg  0.500  0.752  0.417
Mg  0.000  0.243  0.585
Mg  0.500  0.252  0.917
Mg  0.000  0.500  0.835
Mg  0.000  0.000  0.335
Mg  0.000  0.757  0.585
Mg  0.500  0.748  0.917
Mg  0.500  0.248  0.417
Mg  0.000  0.743  0.085
Mg  0.500  0.500  0.665
Mg  0.000  0.257  0.085
Hf  0.500  0.000  0.664
Hf  0.500  0.500  0.164


Most favorable structure: *one*. The second most favorable one is 5.9 kJ/mol of atoms above it.


*one*
YHfMg14 | PBE | optimized geometry

Total magnetic moment (μB/cell): 0.00

Unit cell a=10.338 b=6.505 c=6.505 alpha=59.20 beta=90.00 gamma=90.00
Atoms (fractional coordinates):
Y  0.000  0.000  0.000
Hf  0.000  0.498  0.498
Mg  0.000  0.002  0.501
Mg  0.000  0.501  0.002
Mg  0.248  0.666  0.666
Mg  0.252  0.171  0.664
Mg  0.252  0.664  0.171
Mg  0.253  0.169  0.169
Mg  0.500  0.000  0.501
Mg  0.500  0.001  0.001
Mg  0.500  0.501  0.000
Mg  0.500  0.501  0.501
Mg  0.747  0.169  0.169
Mg  0.748  0.171  0.664
Mg  0.748  0.664  0.171
Mg  0.752  0.666  0.666


*two*
YHfMg14 | PBE | optimized geometry

Total magnetic moment (μB/cell): 0.88

Unit cell a=6.516 b=6.516 c=10.251 alpha=90.00 beta=90.00 gamma=120.00
Atoms (fractional coordinates):
Y  0.000  0.000  0.000
Hf  0.000  0.000  0.500
Mg  0.002  0.501  0.500
Mg  0.006  0.503  0.000
Mg  0.167  0.333  0.256
Mg  0.167  0.333  0.744
Mg  0.167  0.833  0.256
Mg  0.167  0.833  0.744
Mg  0.497  0.503  0.000
Mg  0.497  0.994  0.000
Mg  0.499  0.501  0.500
Mg  0.499  0.998  0.500
Mg  0.667  0.333  0.248
Mg  0.667  0.333  0.752
Mg  0.667  0.833  0.256
Mg  0.667  0.833  0.744


Most favorable structure: *one*. The second most favorable one is 2.0 kJ/mol of atoms above it.


*one*
Hf4N3 | PBE | optimized geometry

Unit cell a=5.573 b=5.573 c=5.573 alpha=132.02 beta=132.02 gamma=70.20
Atoms (fractional coordinates):
Hf  0.000  0.500  0.500
Hf  0.239  0.239  0.000
Hf  0.500  0.000  0.500
Hf  0.761  0.761  0.000
N  0.000  0.000  0.000
N  0.250  0.750  0.500
N  0.750  0.250  0.500


*two*
Hf4N3 | PBE | optimized geometry

Unit cell a=10.726 b=10.726 c=10.726 alpha=17.14 beta=17.14 gamma=17.14
Atoms (fractional coordinates):
Hf  0.000  0.000  0.000
Hf  0.165  0.165  0.165
Hf  0.416  0.416  0.416
Hf  0.585  0.585  0.585
N  0.290  0.290  0.290
N  0.789  0.789  0.789
N  0.876  0.876  0.876


Most favorable structure: *two*. The second most favorable one is 0.5 kJ/mol of atoms above it.


*one*
Hf3N2O3 | PBE | optimized geometry

Total magnetic moment (μB/cell): 0.00

Unit cell a=5.669 b=5.669 c=10.649 alpha=90.52 beta=90.52 gamma=41.36
Atoms (fractional coordinates):
Hf  0.000  0.000  0.000
Hf  0.006  0.006  0.385
Hf  0.279  0.279  0.500
Hf  0.288  0.288  0.887
Hf  0.327  0.327  0.194
Hf  0.951  0.951  0.695
N  0.189  0.189  0.330
N  0.443  0.443  0.024
N  0.844  0.844  0.865
N  0.847  0.847  0.520
O  0.099  0.099  0.830
O  0.100  0.100  0.565
O  0.188  0.188  0.058
O  0.390  0.390  0.697
O  0.453  0.453  0.364
O  0.898  0.898  0.202


*two*
Hf3N2O3 | PBE | optimized geometry

Total magnetic moment (μB/cell): 0.00
Piezoelectric modulus e_max (C/m2): 1.04

Unit cell a=5.680 b=5.680 c=10.736 alpha=90.00 beta=90.00 gamma=139.21
Atoms (fractional coordinates):
Hf  0.135  0.865  0.500
Hf  0.137  0.863  0.113
Hf  0.186  0.814  0.804
Hf  0.814  0.186  0.304
Hf  0.863  0.137  0.613
Hf  0.865  0.135  0.000
N  0.047  0.953  0.668
N  0.295  0.705  0.978
N  0.705  0.295  0.478
N  0.953  0.047  0.168
O  0.045  0.955  0.936
O  0.245  0.755  0.292
O  0.308  0.692  0.634
O  0.692  0.308  0.134
O  0.755  0.245  0.792
O  0.955  0.045  0.436


*three*
Hf3N2O3 | PBE | optimized geometry

Unit cell a=5.646 b=5.646 c=10.569 alpha=90.00 beta=90.00 gamma=138.06
Atoms (fractional coordinates):
Hf  0.144  0.856  0.557
Hf  0.144  0.856  0.943
Hf  0.192  0.808  0.250
Hf  0.808  0.192  0.750
Hf  0.856  0.144  0.057
Hf  0.856  0.144  0.443
N  0.300  0.700  0.079
N  0.300  0.700  0.421
N  0.700  0.300  0.579
N  0.700  0.300  0.921
O  0.043  0.957  0.116
O  0.043  0.957  0.384
O  0.248  0.752  0.750
O  0.752  0.248  0.250
O  0.957  0.043  0.616
O  0.957  0.043  0.884


Most favorable structure: *three*. The second most favorable one is 3.3 kJ/mol of atoms above it.